# V2CrTe4 (PBE, optimized geometry)
data_V2CrTe4
_cell_length_a 14.1254
_cell_length_b 3.9467
_cell_length_c 6.8270
_cell_angle_alpha 90.00
_cell_angle_beta 116.51
_cell_angle_gamma 90.00
_space_group_name_H-M_alt 'C 1 2/m 1'
_space_group_IT_number 12
loop_
_space_group_symop_operation_xyz
'x,y,z'
'-x,-y,-z'
'-x,y,-z'
'x,-y,z'
'x+1/2,y+1/2,z'
'-x+1/2,-y+1/2,-z'
'-x+1/2,y+1/2,-z'
'x+1/2,-y+1/2,z'
loop_
_atom_site_label
_atom_site_type_symbol
_atom_site_fract_x
_atom_site_fract_y
_atom_site_fract_z
_atom_site_occupancy
V1 V 0.2427 0.0000 0.2003 1
Cr1 Cr 0.0000 0.5000 0.5000 1
Te1 Te 0.1112 0.5000 0.9523 1
Te2 Te 0.1397 0.0000 0.4813 1
# - Energy of formation: -509 meV/atom
# - Electronic total energy: -6.039 eV/atom
# - Offset from the most stable computed form: 4 meV/atom

---

# V2CrTe4 (PBE, optimized geometry)
data_V2CrTe4
_cell_length_a 13.9446
_cell_length_b 4.0248
_cell_length_c 7.0224
_cell_angle_alpha 90.00
_cell_angle_beta 118.91
_cell_angle_gamma 90.00
_space_group_name_H-M_alt 'C 1 m 1'
_space_group_IT_number 8
loop_
_space_group_symop_operation_xyz
'x,y,z'
'x,-y,z'
'x+1/2,y+1/2,z'
'x+1/2,-y+1/2,z'
loop_
_atom_site_label
_atom_site_type_symbol
_atom_site_fract_x
_atom_site_fract_y
_atom_site_fract_z
_atom_site_occupancy
V1 V 0.0000 0.0000 0.0000 1
V2 V 0.2444 0.5000 0.7238 1
Cr1 Cr 0.4813 0.0000 0.4426 1
Te1 Te 0.1106 0.0000 0.7522 1
Te2 Te 0.1227 0.5000 0.2737 1
Te3 Te 0.3588 0.5000 0.1737 1
Te4 Te 0.3749 0.0000 0.6943 1
# - Energy of formation: -513 meV/atom
# - Electronic total energy: -6.043 eV/atom
# - Offset from the most stable computed form: 0 meV/atom

---

# Zn3CrTe4 (PBE, optimized geometry)
data_Zn3CrTe4
_cell_length_a 6.2043
_cell_length_b 6.2043
_cell_length_c 6.2043
_cell_angle_alpha 90.00
_cell_angle_beta 90.00
_cell_angle_gamma 90.00
_space_group_name_H-M_alt 'P -4 3 m'
_space_group_IT_number 215
_space_group_name_Hall 'P -4 2 3'
loop_
_atom_site_label
_atom_site_type_symbol
_atom_site_fract_x
_atom_site_fract_y
_atom_site_fract_z
_atom_site_occupancy
Zn1 Zn 0.0000 0.0000 0.5000 1
Cr1 Cr 0.5000 0.5000 0.5000 1
Te1 Te 0.2493 0.2493 0.7507 1
# - Energy of formation: -496 meV/atom
# - Electronic total energy: -3.536 eV/atom